Record 1
# Sr3CoSb2O9, optimized geometry, DFT PBE+U
# Energy relative to the elements   -2440 meV per atom
# Volume   13.3 Å³/atom
data_Sr3CoSb2O9
_cell_length_a 5.6979
_cell_length_b 8.1827
_cell_length_c 17.1302
_cell_angle_alpha 90.00
_cell_angle_beta 90.00
_cell_angle_gamma 90.00
_symmetry_space_group_name_H-M 'I m m m'
_symmetry_Int_Tables_number 71
_symmetry_space_group_name_Hall '-I 2 2'
loop_
_atom_site_label
_atom_site_type_symbol
_atom_site_fract_x
_atom_site_fract_y
_atom_site_fract_z
Sr1 Sr 0.0000 0.2308 0.0000
Sr2 Sr 0.0000 0.2576 0.3264
Co1 Co 0.0000 0.0000 0.1669
Sb1 Sb 0.0000 0.0000 0.5000
Sb2 Sb 0.0000 0.5000 0.1671
Sb3 Sb 0.0000 0.5000 0.5000
O1 O 0.0000 0.2454 0.5000
O2 O 0.0000 0.2619 0.1617
O3 O 0.2449 0.5000 0.4193
O4 O 0.2471 0.0000 0.4192
O5 O 0.2486 0.5000 0.2476


Record 2
# Ti3Co3Sb2O16, optimized geometry, DFT PBE+U
# Energy relative to the elements   -2086 meV per atom
# Volume   11.4 Å³/atom
data_Ti3Co3Sb2O16
_cell_length_a 5.7954
_cell_length_b 5.7975
_cell_length_c 9.3242
_cell_angle_alpha 88.92
_cell_angle_beta 88.98
_cell_angle_gamma 60.61
_symmetry_space_group_name_H-M 'P 1'
_symmetry_Int_Tables_number 1
loop_
_symmetry_equiv_pos_as_xyz
'x,y,z'
loop_
_atom_site_label
_atom_site_type_symbol
_atom_site_fract_x
_atom_site_fract_y
_atom_site_fract_z
Ti1 Ti 0.0000 0.0000 0.0000
Ti2 Ti 0.1691 0.6745 0.5025
Ti3 Ti 0.6650 0.1797 0.5025
Co1 Co 0.0028 0.5027 0.0033
Co2 Co 0.4933 0.0199 0.0006
Co3 Co 0.6639 0.6732 0.4998
Sb1 Sb 0.1771 0.1832 0.2739
Sb2 Sb 0.5165 0.5202 0.7797
O1 O 0.0070 0.5132 0.3894
O2 O 0.0091 0.0201 0.3935
O3 O 0.1690 0.1977 0.9012
O4 O 0.1710 0.6845 0.8890
O5 O 0.3160 0.8891 0.1260
O6 O 0.3186 0.3322 0.1163
O7 O 0.3593 0.3681 0.6328
O8 O 0.3632 0.8098 0.6264
O9 O 0.5003 0.5107 0.3930
O10 O 0.5045 0.0167 0.3892
O11 O 0.6757 0.1823 0.8902
O12 O 0.6785 0.6915 0.8903
O13 O 0.8022 0.3717 0.6259
O14 O 0.8316 0.8355 0.0977
O15 O 0.8323 0.8420 0.5976
O16 O 0.8720 0.3381 0.1256